Entry from the Materials Project: crystalline Tb2Pt2O7 at its relaxed geometry (meta-GGA r2SCAN).

Calculated values
The space group is No. 227. The energy relative to the elements comes out at -2264 meV per atom. As for the magnetic moment: 0.0 μB/cell.

Lattice parameters (Å, degrees): 7.2276 7.2276 7.2276 60.00 60.00 60.00
Fractional positions:
1 Pt 0.1250 0.1250 0.6250
2 Tb 0.6250 0.6250 0.1250
3 O 0.7852 0.7852 0.2148
4 Tb 0.1250 0.6250 0.6250
5 O 0.7500 0.7500 0.7500
6 Pt 0.1250 0.1250 0.1250
7 O 0.4648 0.0352 0.0352
8 O 0.0352 0.4648 0.4648
9 O 0.4648 0.0352 0.4648
10 O 0.4648 0.4648 0.0352
11 Pt 0.6250 0.1250 0.1250
12 O 0.0352 0.4648 0.0352
13 O 0.0352 0.0352 0.4648
14 O 0.7852 0.2148 0.7852
15 Pt 0.1250 0.6250 0.1250
16 Tb 0.6250 0.6250 0.6250
17 O 0.2148 0.2148 0.7852
18 Tb 0.6250 0.1250 0.6250
19 O 0.5000 0.5000 0.5000
20 O 0.7852 0.2148 0.2148
21 O 0.2148 0.7852 0.2148
22 O 0.2148 0.7852 0.7852

---

Entry from the Materials Project: crystalline Na3Sb3As2O14 at its relaxed geometry (meta-GGA r2SCAN).

Calculated values
The space group is No. 14. The energy relative to the elements comes out at -1680 meV per atom. As for the magnetic moment: 0.0 μB/cell.

Lattice parameters (Å, degrees): 7.2794 6.4644 12.5360 72.64 90.00 90.00
Fractional positions:
1 Sb 0.5000 0.0000 0.0000
2 O 0.9936 0.9327 0.8025
3 Na 0.2117 0.4621 0.9328
4 Na 0.2883 0.4621 0.4328
5 Na 0.7117 0.5379 0.5672
6 As 0.7350 0.4158 0.8394
7 O 0.7256 0.2946 0.2376
8 O 0.0064 0.0673 0.1975
9 O 0.7965 0.0339 0.5944
10 O 0.5064 0.9327 0.3025
11 O 0.3113 0.3294 0.2443
12 O 0.9687 0.3171 0.4069
13 O 0.7035 0.0339 0.0944
14 Na 0.0000 0.0000 0.0000
15 O 0.6887 0.6706 0.7557
16 As 0.2350 0.5842 0.6606
17 O 0.5313 0.3171 0.9069
18 Sb 0.0000 0.0000 0.5000
19 O 0.1888 0.1010 0.5846
20 O 0.2256 0.7054 0.2624
21 Sb 0.7403 0.9772 0.7528
22 O 0.4936 0.0673 0.6975
23 O 0.3112 0.1010 0.0846
24 O 0.8113 0.6706 0.2557
25 O 0.0951 0.6112 0.0703
26 As 0.7650 0.4158 0.3394
27 O 0.5951 0.3888 0.4297
28 Sb 0.7597 0.9772 0.2528
29 O 0.2744 0.7054 0.7624
30 As 0.2650 0.5842 0.1606
31 O 0.1887 0.3294 0.7443
32 Sb 0.2597 0.0228 0.2472
33 Na 0.7883 0.5379 0.0672
34 O 0.2035 0.9661 0.4056
35 O 0.8112 0.8990 0.4154
36 Sb 0.2403 0.0228 0.7472
37 Na 0.5000 0.0000 0.5000
38 O 0.9049 0.3888 0.9297
39 O 0.0313 0.6829 0.5931
40 O 0.6888 0.8990 0.9154
41 O 0.2965 0.9661 0.9056
42 O 0.7744 0.2946 0.7376
43 O 0.4049 0.6112 0.5703
44 O 0.4687 0.6829 0.0931

---

Entry from the Materials Project: crystalline Na3CuF6 at its relaxed geometry (meta-GGA r2SCAN).

Calculated values
The space group is No. 14. The energy relative to the elements comes out at -2527 meV per atom. As for the magnetic moment: 4.0 μB/cell.

Lattice parameters (Å, degrees): 5.3883 5.6538 7.7586 90.00 89.57 90.00
Fractional positions:
1 F 0.7862 0.3226 0.5524
2 F 0.1181 0.9460 0.7729
3 Na 0.4805 0.9373 0.2459
4 Na 0.5195 0.0627 0.7541
5 Na 0.0000 0.0000 0.5000
6 F 0.2138 0.6774 0.4476
7 Na 0.9805 0.5627 0.7459
8 F 0.8322 0.2786 0.9291
9 Na 0.5000 0.5000 0.0000
10 F 0.7138 0.8226 0.9476
11 F 0.6678 0.7786 0.5709
12 F 0.2862 0.1774 0.0524
13 F 0.6181 0.5540 0.2729
14 F 0.8819 0.0540 0.2271
15 Cu 0.5000 0.5000 0.5000
16 Na 0.0195 0.4373 0.2541
17 F 0.3322 0.2214 0.4291
18 F 0.3819 0.4460 0.7271
19 F 0.1678 0.7214 0.0709
20 Cu 0.0000 0.0000 0.0000

---

Entry from the Materials Project: crystalline La12Au3I13 at its relaxed geometry (meta-GGA r2SCAN).

Calculated values
The space group is No. 1. The energy relative to the elements comes out at -1383 meV per atom. As for the magnetic moment: 0.2 μB/cell.

Lattice parameters (Å, degrees): 11.1182 11.1249 11.1230 109.58 109.60 109.60
Fractional positions:
1 I 0.2420 0.2333 0.9935
2 La 0.2589 0.2708 0.5169
3 I 0.7669 0.7581 0.0066
4 I 0.0111 0.9891 0.4996
5 Au 0.2503 0.4998 0.7498
6 I 0.7579 0.0065 0.7669
7 Au 0.7494 0.2503 0.5002
8 I 0.4999 0.2402 0.7598
9 I 0.9890 0.5006 0.0109
10 La 0.7351 0.9997 0.2646
11 I 0.5004 0.0108 0.9889
12 La 0.7301 0.7422 0.4834
13 I 0.2402 0.7594 0.4998
14 La 0.0000 0.4819 0.5182
15 La 0.2699 0.5166 0.2579
16 La 0.4832 0.7291 0.7414
17 La 0.5179 0.0005 0.4825
18 La 0.9999 0.2645 0.7355
19 La 0.5167 0.2581 0.2702
20 I 0.0065 0.7666 0.7580
21 Au 0.5000 0.7494 0.2509
22 La 0.7413 0.4833 0.7294
23 La 0.2649 0.7356 0.0004
24 I 0.2330 0.9934 0.2420
25 I 0.7597 0.5003 0.2405
26 I 0.9936 0.2420 0.2335
27 La 0.4819 0.5177 0.9996
28 I 0.5002 0.5004 0.4993

---

Entry from the Materials Project: crystalline LuOF at its relaxed geometry (meta-GGA r2SCAN).

Calculated values
The space group is No. 14. The energy relative to the elements comes out at -4315 meV per atom. As for the magnetic moment: 0.0 μB/cell.

Lattice parameters (Å, degrees): 5.3391 5.4020 5.4270 80.19 90.00 90.00
Fractional positions:
1 F 0.6746 0.0570 0.6555
2 F 0.8254 0.0570 0.1555
3 Lu 0.9742 0.3063 0.7872
4 Lu 0.5258 0.3063 0.2872
5 F 0.3254 0.9430 0.3445
6 F 0.1746 0.9430 0.8445
7 O 0.2532 0.4596 0.0105
8 O 0.7532 0.5404 0.4895
9 Lu 0.0258 0.6937 0.2128
10 O 0.2468 0.4596 0.5105
11 Lu 0.4742 0.6937 0.7128
12 O 0.7468 0.5404 0.9895

---

Entry from the Materials Project: crystalline Sm5Ga3 at its relaxed geometry (meta-GGA r2SCAN).

Calculated values
The space group is No. 140. The energy relative to the elements comes out at -549 meV per atom. As for the magnetic moment: 0.0 μB/cell.

Lattice parameters (Å, degrees): 9.0687 9.0687 9.0676 129.32 129.32 74.52
Fractional positions:
1 Ga 0.1179 0.6179 0.7359
2 Sm 0.1787 0.6787 0.1536
3 Sm 0.4751 0.9751 0.1538
4 Sm 0.5000 0.5000 0.0000
5 Ga 0.8821 0.3821 0.2641
6 Sm 0.6786 0.5253 0.5001
7 Ga 0.2500 0.2500 0.0000
8 Sm 0.8213 0.3213 0.8464
9 Ga 0.6180 0.8820 0.5000
10 Sm 0.3214 0.4747 0.4999
11 Sm 0.9747 0.8214 0.4999
12 Sm 0.0253 0.1786 0.5001
13 Sm 0.0000 0.0000 0.0000
14 Ga 0.3820 0.1180 0.5000
15 Sm 0.5249 0.0249 0.8462
16 Ga 0.7500 0.7500 0.0000

---

Entry from the Materials Project: crystalline NaLi2Cl3 at its relaxed geometry (meta-GGA r2SCAN).

Calculated values
The energy relative to the elements comes out at -2002 meV per atom. As for the magnetic moment: 0.0 μB/cell.

Lattice parameters (Å, degrees): 3.7686 3.7686 15.6616 90.00 90.00 90.00
Fractional positions:
1 Cl 0.5000 0.5000 0.6729
2 Cl 0.5000 0.5000 0.3271
3 Cl 0.0000 0.0000 0.8271
4 Cl 0.5000 0.5000 0.0000
5 Cl 0.0000 0.0000 0.1729
6 Li 0.0000 0.0000 0.6689
7 Li 0.0000 0.0000 0.3311
8 Cl 0.0000 0.0000 0.5000
9 Li 0.5000 0.5000 0.8311
10 Li 0.5000 0.5000 0.1689
11 Na 0.5000 0.5000 0.5000
12 Na 0.0000 0.0000 0.0000

---

Entry from the Materials Project: crystalline Pr3Si2ClO8 at its relaxed geometry (meta-GGA r2SCAN).

Calculated values
The space group is No. 15. The energy relative to the elements comes out at -3449 meV per atom. As for the magnetic moment: 0.0 μB/cell.

Lattice parameters (Å, degrees): 7.8272 7.8272 8.8232 82.43 82.43 48.76
Fractional positions:
1 Pr 0.4271 0.5729 0.2500
2 O 0.2329 0.4582 0.8465
3 Pr 0.5729 0.4271 0.7500
4 Cl 0.0250 0.9750 0.7500
5 Si 0.6045 0.7121 0.4741
6 O 0.8192 0.7030 0.4187
7 O 0.4524 0.7030 0.9669
8 Si 0.7121 0.6045 0.9741
9 Pr 0.0802 0.2913 0.3285
10 Si 0.3955 0.2879 0.5259
11 O 0.2970 0.5476 0.5331
12 O 0.7030 0.4524 0.4669
13 Pr 0.2913 0.0802 0.8285
14 O 0.8820 0.4080 0.8545
15 Pr 0.7087 0.9198 0.1715
16 O 0.5920 0.1180 0.6455
17 O 0.2970 0.1808 0.0813
18 Si 0.2879 0.3955 0.0259
19 O 0.1180 0.5920 0.1455
20 O 0.7030 0.8192 0.9187
21 O 0.4582 0.2329 0.3465
22 O 0.1808 0.2970 0.5813
23 Cl 0.9750 0.0250 0.2500
24 O 0.5476 0.2970 0.0331
25 O 0.5418 0.7671 0.6535
26 O 0.4080 0.8820 0.3545
27 Pr 0.9198 0.7087 0.6715
28 O 0.7671 0.5418 0.1535

---

Entry from the Materials Project: crystalline YMgTl at its relaxed geometry (meta-GGA r2SCAN).

Calculated values
The space group is No. 216. The energy relative to the elements comes out at 220 meV per atom. As for the magnetic moment: 0.0 μB/cell.

Lattice parameters (Å, degrees): 5.0609 5.0609 5.0609 60.00 60.00 60.00
Fractional positions:
1 Mg 0.0000 0.0000 0.0000
2 Y 0.7500 0.7500 0.7500
3 Tl 0.5000 0.5000 0.5000

---

Entry from the Materials Project: crystalline DyAlNi4 at its relaxed geometry (meta-GGA r2SCAN).

Calculated values
The space group is No. 65. The energy relative to the elements comes out at -509 meV per atom. As for the magnetic moment: 0.0 μB/cell.

Lattice parameters (Å, degrees): 4.8508 4.8508 3.9845 90.00 90.00 118.56
Fractional positions:
1 Ni 0.1684 0.8316 0.0000
2 Ni 0.0000 0.5000 0.5000
3 Dy 0.5000 0.5000 0.0000
4 Ni 0.8316 0.1684 0.0000
5 Ni 0.5000 0.0000 0.5000
6 Al 0.0000 0.0000 0.5000

---

Entry from the Materials Project: crystalline LiBiRh2 at its relaxed geometry (meta-GGA r2SCAN).

Calculated values
The space group is No. 225. The energy relative to the elements comes out at -302 meV per atom. As for the magnetic moment: 0.0 μB/cell.

Lattice parameters (Å, degrees): 4.4510 4.4510 4.4510 60.00 60.00 60.00
Fractional positions:
1 Rh 0.0000 0.0000 0.0000
2 Bi 0.2500 0.2500 0.2500
3 Li 0.7500 0.7500 0.7500
4 Rh 0.5000 0.5000 0.5000

---

Entry from the Materials Project: crystalline Dy3Zn11 at its relaxed geometry (meta-GGA r2SCAN).

Calculated values
The space group is No. 71. The energy relative to the elements comes out at -373 meV per atom. As for the magnetic moment: 0.0 μB/cell.

Lattice parameters (Å, degrees): 4.3361 8.0496 8.0496 65.68 74.38 74.38
Fractional positions:
1 Dy 0.2932 0.7068 0.7068
2 Zn 0.1392 0.5781 0.1434
3 Dy 0.0000 0.0000 0.0000
4 Zn 0.8608 0.8566 0.4219
5 Dy 0.7068 0.2932 0.2932
6 Zn 0.3425 0.0173 0.2976
7 Zn 0.0000 0.5000 0.5000
8 Zn 0.5000 0.3171 0.6829
9 Zn 0.1392 0.1434 0.5781
10 Zn 0.3425 0.2976 0.0173
11 Zn 0.8608 0.4219 0.8566
12 Zn 0.5000 0.6829 0.3171
13 Zn 0.6575 0.7024 0.9827
14 Zn 0.6575 0.9827 0.7024

---

Entry from the Materials Project: crystalline Zr5SiSb3 at its relaxed geometry (meta-GGA r2SCAN).

Calculated values
The space group is No. 193. The energy relative to the elements comes out at -893 meV per atom. As for the magnetic moment: 0.0 μB/cell.

Lattice parameters (Å, degrees): 8.6375 8.6375 5.8480 90.00 90.00 120.00
Fractional positions:
1 Sb 0.0000 0.3950 0.7500
2 Zr 0.0000 0.7403 0.7500
3 Zr 0.7403 0.0000 0.7500
4 Zr 0.6667 0.3333 0.0000
5 Sb 0.0000 0.6050 0.2500
6 Si 0.0000 0.0000 0.0000
7 Si 0.0000 0.0000 0.5000
8 Zr 0.3333 0.6667 0.5000
9 Sb 0.3950 0.3950 0.2500
10 Sb 0.3950 0.0000 0.7500
11 Sb 0.6050 0.6050 0.7500
12 Zr 0.2597 0.0000 0.2500
13 Zr 0.3333 0.6667 0.0000
14 Sb 0.6050 0.0000 0.2500
15 Zr 0.7403 0.7403 0.2500
16 Zr 0.6667 0.3333 0.5000
17 Zr 0.0000 0.2597 0.2500
18 Zr 0.2597 0.2597 0.7500

---

Entry from the Materials Project: crystalline Sc2P7Ru12 at its relaxed geometry (meta-GGA r2SCAN).

Calculated values
The space group is No. 174. The energy relative to the elements comes out at -775 meV per atom. As for the magnetic moment: 0.0 μB/cell.

Lattice parameters (Å, degrees): 9.2923 9.2923 3.8953 90.00 90.00 120.00
Fractional positions:
1 Ru 0.4271 0.0685 0.0000
2 Ru 0.5540 0.9466 0.5000
3 Ru 0.9144 0.1225 0.5000
4 Ru 0.2081 0.0856 0.5000
5 P 0.1202 0.4025 0.5000
6 Ru 0.0534 0.6073 0.5000
7 Ru 0.1646 0.2738 0.0000
8 Sc 0.6667 0.3333 0.5000
9 P 0.4271 0.3095 0.0000
10 Ru 0.3927 0.4460 0.5000
11 Ru 0.6414 0.5729 0.0000
12 Ru 0.8775 0.7919 0.5000
13 P 0.6905 0.1175 0.0000
14 Ru 0.1093 0.8354 0.0000
15 Ru 0.9315 0.3586 0.0000
16 P 0.8825 0.5729 0.0000
17 Sc 0.3333 0.6667 0.0000
18 Ru 0.7262 0.8907 0.0000
19 P 0.0000 0.0000 0.0000
20 P 0.2823 0.8798 0.5000
21 P 0.5975 0.7177 0.5000

---

Entry from the Materials Project: crystalline Ce9SmO20 at its relaxed geometry (meta-GGA r2SCAN).

Calculated values
The space group is No. 2. The energy relative to the elements comes out at -3663 meV per atom. As for the magnetic moment: 0.6 μB/cell.

Lattice parameters (Å, degrees): 6.6668 7.6970 8.6066 102.93 97.42 106.77
Fractional positions:
1 O 0.5522 0.9749 0.3514
2 Ce 0.1998 0.3994 0.3991
3 O 0.0496 0.2299 0.8467
4 O 0.3566 0.0769 0.9482
5 O 0.8499 0.3252 0.4521
6 O 0.4478 0.0251 0.6486
7 O 0.1482 0.1740 0.5489
8 O 0.6483 0.4251 0.0493
9 O 0.3517 0.5749 0.9507
10 Sm 0.0000 0.0000 0.0000
11 O 0.8518 0.8260 0.4511
12 O 0.6434 0.9231 0.0518
13 Ce 0.3978 0.2992 0.8001
14 O 0.2563 0.1281 0.2550
15 O 0.7437 0.8719 0.7450
16 Ce 0.7996 0.0998 0.6010
17 O 0.9489 0.2814 0.1538
18 O 0.5523 0.4768 0.3507
19 O 0.9504 0.7701 0.1533
20 Ce 0.0000 0.5000 0.0000
21 O 0.2540 0.6257 0.2499
22 Ce 0.6022 0.7008 0.1999
23 Ce 0.2004 0.9002 0.3990
24 O 0.4477 0.5232 0.6493
25 Ce 0.6002 0.1996 0.1994
26 Ce 0.3998 0.8004 0.8006
27 O 0.7460 0.3743 0.7501
28 O 0.1501 0.6748 0.5479
29 Ce 0.8002 0.6006 0.6009
30 O 0.0511 0.7186 0.8462

---

Entry from the Materials Project: crystalline ErCu5 at its relaxed geometry (meta-GGA r2SCAN).

Calculated values
The space group is No. 216. The energy relative to the elements comes out at -193 meV per atom. As for the magnetic moment: 0.0 μB/cell.

Lattice parameters (Å, degrees): 4.8968 4.8968 4.8968 60.00 60.00 60.00
Fractional positions:
1 Cu 0.1279 0.6240 0.6240
2 Cu 0.6240 0.1279 0.6240
3 Cu 0.6240 0.6240 0.6240
4 Cu 0.2500 0.2500 0.2500
5 Er 0.0000 0.0000 0.0000
6 Cu 0.6240 0.6240 0.1279

---

Entry from the Materials Project: crystalline LiBi at its relaxed geometry (meta-GGA r2SCAN).

Calculated values
The space group is No. 123. The energy relative to the elements comes out at -415 meV per atom. As for the magnetic moment: 0.0 μB/cell.

Lattice parameters (Å, degrees): 3.3206 3.3206 4.3198 90.00 90.00 90.00
Fractional positions:
1 Li 0.5000 0.5000 0.5000
2 Bi 0.0000 0.0000 0.0000